[1]
This record from the Materials Project database describes an optimized crystal structure of Sr4TiP4. The functional is meta-GGA r2SCAN.

Output
The calculation puts the calculated formation energy at -11.69 eV per formula unit. Its total magnetic moment is 0.000 μB per formula unit.

abc: 12.630 12.630 12.630
angles: 90.00 90.00 90.00
Fractional coordinates of all 72 atoms:
P1 0.854 0.885 0.393
P2 0.385 0.646 0.107
P3 0.109 0.109 0.891
P4 0.891 0.109 0.109
P5 0.885 0.393 0.854
P6 0.385 0.354 0.893
P7 0.391 0.391 0.391
P8 0.146 0.115 0.393
P9 0.885 0.607 0.146
P10 0.107 0.385 0.646
P11 0.109 0.891 0.109
P12 0.646 0.107 0.385
P13 0.891 0.891 0.891
P14 0.615 0.646 0.893
P15 0.609 0.609 0.391
P16 0.607 0.146 0.885
P17 0.354 0.893 0.385
P18 0.391 0.609 0.609
P19 0.609 0.391 0.609
P20 0.115 0.393 0.146
P21 0.854 0.115 0.607
P22 0.393 0.854 0.885
P23 0.893 0.615 0.646
P24 0.893 0.385 0.354
P25 0.615 0.354 0.107
P26 0.146 0.885 0.607
P27 0.354 0.107 0.615
P28 0.607 0.854 0.115
P29 0.646 0.893 0.615
P30 0.393 0.146 0.115
P31 0.115 0.607 0.854
P32 0.107 0.615 0.354
Ti1 0.250 0.000 0.500
Ti2 0.000 0.500 0.750
Ti3 0.000 0.000 0.000
Ti4 0.500 0.750 0.000
Ti5 0.500 0.500 0.500
Ti6 0.500 0.250 0.000
Ti7 0.750 0.000 0.500
Ti8 0.000 0.500 0.250
Sr1 0.137 0.648 0.094
Sr2 0.094 0.863 0.352
Sr3 0.648 0.094 0.137
Sr4 0.863 0.352 0.094
Sr5 0.852 0.148 0.852
Sr6 0.863 0.648 0.906
Sr7 0.148 0.852 0.852
Sr8 0.594 0.148 0.637
Sr9 0.352 0.094 0.863
Sr10 0.137 0.352 0.906
Sr11 0.906 0.137 0.352
Sr12 0.648 0.906 0.863
Sr13 0.852 0.637 0.406
Sr14 0.352 0.906 0.137
Sr15 0.406 0.148 0.363
Sr16 0.852 0.363 0.594
Sr17 0.363 0.406 0.148
Sr18 0.148 0.637 0.594
Sr19 0.148 0.363 0.406
Sr20 0.094 0.137 0.648
Sr21 0.406 0.852 0.637
Sr22 0.852 0.852 0.148
Sr23 0.648 0.352 0.352
Sr24 0.637 0.594 0.148
Sr25 0.352 0.352 0.648
Sr26 0.594 0.852 0.363
Sr27 0.363 0.594 0.852
Sr28 0.906 0.863 0.648
Sr29 0.648 0.648 0.648
Sr30 0.148 0.148 0.148
Sr31 0.637 0.406 0.852
Sr32 0.352 0.648 0.352

***

[2]
This record from the Materials Project database describes an optimized crystal structure of SrZn2P2. The functional is meta-GGA r2SCAN.

Output
The calculation puts the calculated formation energy at -4.05 eV per formula unit. Its total magnetic moment is 0.000 μB per formula unit.

abc: 4.081 4.081 7.097
angles: 90.00 90.00 120.00
Fractional coordinates of all 5 atoms:
P1 0.333 0.667 0.276
P2 0.667 0.333 0.724
Zn1 0.333 0.667 0.630
Zn2 0.667 0.333 0.370
Sr1 0.000 0.000 0.000

***

no.,total DFT energy (no corrections) (eV/cell)
1,-969.8
2,-55.0